The following is a PBE calculation of crystalline BaYSnSbO6 at its relaxed geometry, from Materials Project.

Cell lengths 5.922, 5.922, 8.520 Å; angles 90.00, 90.00, 90.00 degrees
Positions (direct):
1 Ba 0.000 0.500 0.250
2 Ba 0.500 0.000 0.750
3 Y 0.000 0.000 0.500
4 Y 0.500 0.500 0.000
5 Sn 0.500 0.000 0.250
6 Sn 0.000 0.500 0.750
7 Sb 0.000 0.000 0.000
8 Sb 0.500 0.500 0.500
9 O 0.000 0.000 0.237
10 O 0.500 0.500 0.263
11 O 0.000 0.000 0.763
12 O 0.500 0.500 0.737
13 O 0.283 0.188 0.012
14 O 0.717 0.812 0.012
15 O 0.812 0.283 0.988
16 O 0.188 0.717 0.988
17 O 0.783 0.312 0.512
18 O 0.217 0.688 0.512
19 O 0.312 0.217 0.488
20 O 0.688 0.783 0.488

Output
The space group is No. 118. The value obtained for the volume is 298.7 Å³/cell. As for the energy of formation: -2.6192 eV per atom. The calculation puts the electronic total energy at -6.83 eV/atom.

The following is a PBE calculation of crystalline BaYSnSbO6 at its relaxed geometry, from Materials Project.

Cell lengths 8.468, 8.408, 8.461 Å; angles 90.00, 90.00, 90.00 degrees
Positions (direct):
1 Ba 0.000 0.000 0.000
2 Ba 0.500 0.500 0.500
3 Ba 0.000 0.500 0.500
4 Ba 0.500 0.000 0.000
5 Y 0.250 0.250 0.250
6 Y 0.750 0.750 0.250
7 Y 0.750 0.250 0.750
8 Y 0.250 0.750 0.750
9 Sn 0.500 0.000 0.500
10 Sn 0.500 0.500 0.000
11 Sn 0.000 0.500 0.000
12 Sn 0.000 0.000 0.500
13 Sb 0.750 0.750 0.750
14 Sb 0.250 0.250 0.750
15 Sb 0.250 0.750 0.250
16 Sb 0.750 0.250 0.250
17 O 0.985 0.223 0.290
18 O 0.015 0.777 0.290
19 O 0.015 0.223 0.710
20 O 0.985 0.777 0.710
21 O 0.268 0.986 0.221
22 O 0.268 0.014 0.779
23 O 0.732 0.014 0.221
24 O 0.732 0.986 0.779
25 O 0.208 0.276 0.985
26 O 0.792 0.276 0.015
27 O 0.208 0.724 0.015
28 O 0.792 0.724 0.985
29 O 0.515 0.277 0.210
30 O 0.485 0.723 0.210
31 O 0.485 0.277 0.790
32 O 0.515 0.723 0.790
33 O 0.232 0.514 0.279
34 O 0.232 0.486 0.721
35 O 0.768 0.486 0.279
36 O 0.768 0.514 0.721
37 O 0.292 0.224 0.515
38 O 0.708 0.224 0.485
39 O 0.292 0.776 0.485
40 O 0.708 0.776 0.515

Output
The space group is No. 48. The value obtained for the volume is 602.4 Å³/cell. As for the energy of formation: -2.6221 eV per atom. The calculation puts the electronic total energy at -6.83 eV/atom.

The following is a PBE calculation of crystalline BaYSnSbO6 at its relaxed geometry, from Materials Project.

Cell lengths 5.983, 5.983, 5.983 Å; angles 60.00, 60.00, 60.00 degrees
Positions (direct):
1 Ba 0.750 0.750 0.750
2 Y 0.500 0.500 0.500
3 Sn 0.250 0.250 0.250
4 Sb 0.000 0.000 0.000
5 O 0.763 0.237 0.237
6 O 0.237 0.763 0.763
7 O 0.763 0.237 0.763
8 O 0.237 0.763 0.237
9 O 0.763 0.763 0.237
10 O 0.237 0.237 0.763

Output
The space group is No. 216. The value obtained for the volume is 151.4 Å³/cell. As for the energy of formation: -2.6030 eV per atom. The calculation puts the electronic total energy at -6.81 eV/atom.

The following is a PBE calculation of crystalline BaSrYSbO6 at its relaxed geometry, from Materials Project.

Cell lengths 8.455, 8.448, 8.447 Å; angles 90.00, 90.00, 90.00 degrees
Positions (direct):
1 Ba 0.000 0.000 0.000
2 Ba 0.500 0.500 0.500
3 Ba 0.000 0.500 0.000
4 Ba 0.000 0.000 0.500
5 Sr 0.000 0.500 0.500
6 Sr 0.500 0.000 0.500
7 Sr 0.500 0.500 0.000
8 Sr 0.500 0.000 0.000
9 Y 0.252 0.251 0.251
10 Y 0.748 0.749 0.251
11 Y 0.748 0.251 0.749
12 Y 0.252 0.749 0.749
13 Sb 0.747 0.749 0.750
14 Sb 0.253 0.251 0.750
15 Sb 0.253 0.749 0.250
16 Sb 0.747 0.251 0.250
17 O 0.985 0.230 0.269
18 O 0.015 0.770 0.269
19 O 0.015 0.230 0.731
20 O 0.985 0.770 0.731
21 O 0.279 0.986 0.225
22 O 0.279 0.014 0.775
23 O 0.721 0.014 0.225
24 O 0.721 0.986 0.775
25 O 0.233 0.272 0.987
26 O 0.767 0.272 0.013
27 O 0.233 0.728 0.013
28 O 0.767 0.728 0.987
29 O 0.512 0.282 0.223
30 O 0.488 0.718 0.223
31 O 0.488 0.282 0.777
32 O 0.512 0.718 0.777
33 O 0.226 0.514 0.282
34 O 0.226 0.486 0.718
35 O 0.774 0.486 0.282
36 O 0.774 0.514 0.718
37 O 0.281 0.221 0.514
38 O 0.719 0.221 0.486
39 O 0.281 0.779 0.486
40 O 0.719 0.779 0.514

Output
The space group is No. 16. The value obtained for the volume is 603.4 Å³/cell. As for the energy of formation: -3.0739 eV per atom. The calculation puts the electronic total energy at -7.05 eV/atom.

The following is a PBE calculation of crystalline BaSrYSbO6 at its relaxed geometry, from Materials Project.

Cell lengths 5.986, 5.986, 5.986 Å; angles 60.00, 60.00, 60.00 degrees
Positions (direct):
1 Ba 0.750 0.750 0.750
2 Sr 0.250 0.250 0.250
3 Y 0.500 0.500 0.500
4 Sb 0.000 0.000 0.000
5 O 0.763 0.237 0.237
6 O 0.237 0.763 0.763
7 O 0.763 0.237 0.763
8 O 0.237 0.763 0.237
9 O 0.763 0.763 0.237
10 O 0.237 0.237 0.763

Output
The space group is No. 216. The value obtained for the volume is 151.7 Å³/cell. As for the energy of formation: -3.0607 eV per atom. The calculation puts the electronic total energy at -7.04 eV/atom.

The following is a PBE calculation of crystalline Ba6Ti7Sb9O42 at its relaxed geometry, from Materials Project.

Cell lengths 9.138, 9.138, 12.124 Å; angles 89.91, 89.91, 119.89 degrees
Positions (direct):
1 Ba 0.406 0.406 0.245
2 Ba 0.588 0.588 0.751
3 Ba 0.001 0.592 0.244
4 Ba 0.004 0.405 0.750
5 Ba 0.405 0.004 0.750
6 Ba 0.592 0.001 0.244
7 Ti 0.250 0.250 0.912
8 Ti 0.248 0.248 0.605
9 Ti 0.749 0.749 0.103
10 Ti 0.000 0.748 0.603
11 Ti 0.252 0.008 0.097
12 Ti 0.008 0.252 0.097
13 Ti 0.748 0.000 0.603
14 Sb 0.758 0.758 0.413
15 Sb 0.668 0.334 0.000
16 Sb 0.666 0.333 0.500
17 Sb 0.003 0.761 0.914
18 Sb 0.241 0.000 0.411
19 Sb 0.000 0.241 0.411
20 Sb 0.334 0.668 0.000
21 Sb 0.333 0.666 0.500
22 Sb 0.761 0.003 0.914
23 O 0.204 0.204 0.071
24 O 0.203 0.203 0.422
25 O 0.217 0.217 0.752
26 O 0.482 0.311 0.602
27 O 0.481 0.312 0.900
28 O 0.786 0.786 0.250
29 O 0.485 0.171 0.102
30 O 0.487 0.172 0.394
31 O 0.800 0.800 0.577
32 O 0.797 0.797 0.923
33 O 0.687 0.517 0.100
34 O 0.684 0.513 0.394
35 O 0.830 0.515 0.894
36 O 0.831 0.518 0.599
37 O 0.996 0.797 0.076
38 O 0.999 0.796 0.424
39 O 0.688 0.169 0.600
40 O 0.682 0.171 0.893
41 O 0.000 0.785 0.751
42 O 0.828 0.315 0.394
43 O 0.833 0.312 0.096
44 O 0.198 0.000 0.576
45 O 0.201 0.997 0.926
46 O 0.214 0.999 0.247
47 O 0.169 0.688 0.600
48 O 0.171 0.682 0.893
49 O 0.999 0.214 0.247
50 O 0.312 0.833 0.096
51 O 0.315 0.828 0.394
52 O 0.000 0.198 0.576
53 O 0.997 0.201 0.926
54 O 0.171 0.485 0.102
55 O 0.172 0.487 0.394
56 O 0.311 0.482 0.602
57 O 0.312 0.481 0.900
58 O 0.518 0.831 0.599
59 O 0.515 0.830 0.894
60 O 0.513 0.684 0.394
61 O 0.517 0.687 0.100
62 O 0.785 0.000 0.751
63 O 0.796 0.999 0.424
64 O 0.797 0.996 0.076

Output
The space group is No. 8. The value obtained for the volume is 877.8 Å³/cell. As for the energy of formation: -2.7599 eV per atom. The calculation puts the electronic total energy at -7.18 eV/atom.

The following is a PBE calculation of crystalline BaTi2Sb2O at its relaxed geometry, from Materials Project.

Cell lengths 4.113, 4.113, 8.312 Å; angles 90.00, 90.00, 90.00 degrees
Positions (direct):
1 Ba 0.000 0.000 0.000
2 Ti 0.500 0.000 0.500
3 Ti 0.000 0.500 0.500
4 Sb 0.500 0.500 0.745
5 Sb 0.500 0.500 0.255
6 O 0.000 0.000 0.500

Output
The space group is No. 123. The value obtained for the volume is 140.7 Å³/cell. As for the energy of formation: -1.4867 eV per atom. The calculation puts the electronic total energy at -6.52 eV/atom.

The following is a PBE calculation of crystalline Ba2Tl2Sb3O10 at its relaxed geometry, from Materials Project.

Cell lengths 3.839, 3.864, 20.250 Å; angles 95.46, 95.05, 90.01 degrees
Positions (direct):
1 Ba 0.833 0.900 0.704
2 Ba 0.166 0.208 0.297
3 Tl 0.277 0.367 0.559
4 Tl 0.728 0.811 0.442
5 Sb 0.602 0.642 0.158
6 Sb 0.394 0.471 0.842
7 Sb 0.493 0.574 0.000
8 O 0.119 0.662 0.199
9 O 0.686 0.721 0.338
10 O 0.621 0.162 0.198
11 O 0.234 0.183 0.455
12 O 0.481 0.058 0.970
13 O 0.375 0.952 0.802
14 O 0.316 0.373 0.662
15 O 0.875 0.450 0.802
16 O 0.771 0.726 0.545
17 O 0.010 0.591 0.032

Output
The space group is No. 1. The value obtained for the volume is 297.8 Å³/cell. As for the energy of formation: -1.8053 eV per atom. The calculation puts the electronic total energy at -5.54 eV/atom.

The following is a PBE calculation of crystalline Ba2YSb3O8 at its relaxed geometry, from Materials Project.

Cell lengths 4.371, 4.371, 12.150 Å; angles 90.00, 90.00, 90.00 degrees
Positions (direct):
1 Ba 0.500 0.500 0.164
2 Ba 0.500 0.500 0.836
3 Y 0.500 0.500 0.500
4 Sb 0.000 0.000 0.362
5 Sb 0.000 0.000 0.000
6 Sb 0.000 0.000 0.638
7 O 0.000 0.500 0.382
8 O 0.500 0.000 0.382
9 O 0.500 0.000 0.000
10 O 0.000 0.000 0.190
11 O 0.000 0.500 0.618
12 O 0.500 0.000 0.618
13 O 0.000 0.000 0.810
14 O 0.000 0.500 0.000

Output
The space group is No. 123. The value obtained for the volume is 232.2 Å³/cell. As for the energy of formation: -2.3381 eV per atom. The calculation puts the electronic total energy at -6.39 eV/atom.

The following is a PBE calculation of crystalline Ba2YSbO6 at its relaxed geometry, from Materials Project.

Cell lengths 6.032, 6.032, 6.032 Å; angles 60.00, 60.00, 60.00 degrees
Positions (direct):
1 Ba 0.250 0.250 0.250
2 Ba 0.750 0.750 0.750
3 Y 0.000 0.000 0.000
4 Sb 0.500 0.500 0.500
5 O 0.263 0.737 0.263
6 O 0.263 0.737 0.737
7 O 0.737 0.263 0.263
8 O 0.737 0.737 0.263
9 O 0.737 0.263 0.737
10 O 0.263 0.263 0.737

Output
The space group is No. 225. The value obtained for the volume is 155.2 Å³/cell. As for the energy of formation: -3.0802 eV per atom. The calculation puts the electronic total energy at -7.08 eV/atom.

The following is a PBE calculation of crystalline Ba2YSbO6 at its relaxed geometry, from Materials Project.

Cell lengths 8.525, 8.525, 8.525 Å; angles 90.00, 90.00, 90.00 degrees
Positions (direct):
1 Ba 0.500 0.500 0.500
2 Ba 0.000 0.000 0.000
3 Ba 0.000 0.000 0.500
4 Ba 0.000 0.500 0.000
5 Ba 0.500 0.000 0.000
6 Ba 0.500 0.500 0.000
7 Ba 0.500 0.000 0.500
8 Ba 0.000 0.500 0.500
9 Y 0.250 0.250 0.250
10 Y 0.250 0.750 0.750
11 Y 0.750 0.250 0.750
12 Y 0.750 0.750 0.250
13 Sb 0.750 0.750 0.750
14 Sb 0.750 0.250 0.250
15 Sb 0.250 0.750 0.250
16 Sb 0.250 0.250 0.750
17 O 0.243 0.258 0.514
18 O 0.243 0.742 0.486
19 O 0.757 0.258 0.486
20 O 0.757 0.742 0.514
21 O 0.258 0.514 0.243
22 O 0.742 0.486 0.243
23 O 0.258 0.486 0.757
24 O 0.742 0.514 0.757
25 O 0.514 0.243 0.258
26 O 0.486 0.243 0.742
27 O 0.486 0.757 0.258
28 O 0.514 0.757 0.742
29 O 0.257 0.242 0.986
30 O 0.257 0.758 0.014
31 O 0.743 0.242 0.014
32 O 0.743 0.758 0.986
33 O 0.242 0.986 0.257
34 O 0.758 0.014 0.257
35 O 0.242 0.014 0.743
36 O 0.758 0.986 0.743
37 O 0.986 0.257 0.242
38 O 0.014 0.257 0.758
39 O 0.014 0.743 0.242
40 O 0.986 0.743 0.758

Output
The space group is No. 201. The value obtained for the volume is 619.5 Å³/cell. As for the energy of formation: -3.0790 eV per atom. The calculation puts the electronic total energy at -7.08 eV/atom.

The following is a PBE calculation of crystalline Ba3ZnSb2O9 at its relaxed geometry, from Materials Project.

Cell lengths 5.946, 5.946, 14.675 Å; angles 90.00, 90.00, 120.00 degrees
Positions (direct):
1 Ba 0.333 0.667 0.089
2 Ba 0.667 0.333 0.911
3 Ba 0.667 0.333 0.589
4 Ba 0.333 0.667 0.411
5 Ba 0.000 0.000 0.250
6 Ba 0.000 0.000 0.750
7 Zn 0.000 0.000 0.000
8 Zn 0.000 0.000 0.500
9 Sb 0.333 0.667 0.652
10 Sb 0.667 0.333 0.348
11 Sb 0.667 0.333 0.152
12 Sb 0.333 0.667 0.848
13 O 0.518 0.037 0.250
14 O 0.482 0.963 0.750
15 O 0.963 0.482 0.250
16 O 0.037 0.518 0.750
17 O 0.518 0.482 0.250
18 O 0.482 0.518 0.750
19 O 0.169 0.338 0.584
20 O 0.831 0.662 0.416
21 O 0.662 0.831 0.584
22 O 0.831 0.662 0.084
23 O 0.338 0.169 0.416
24 O 0.169 0.338 0.916
25 O 0.169 0.831 0.584
26 O 0.338 0.169 0.084
27 O 0.831 0.169 0.416
28 O 0.662 0.831 0.916
29 O 0.831 0.169 0.084
30 O 0.169 0.831 0.916

Output
The space group is No. 194. The value obtained for the volume is 449.3 Å³/cell. As for the energy of formation: -2.4919 eV per atom. The calculation puts the electronic total energy at -6.07 eV/atom.

> The lowest energy of formation belongs to which entry?

number 10

> Which value of energy of formation does entry 4 give?

-3.0739 eV per atom

> electronic total energy of number 8 (Ba2Tl2Sb3O10)?

-5.54 eV/atom

> What is the volume in the sixth record?

877.8 Å³/cell